(1)
Density functional theory data (PBE) for a relaxed structure of ErB4.

Results
The value obtained for the energy above the most stable polymorph in this dataset is 0.000 eV per atom. The calculation puts the energy of formation at -0.5858 eV/atom.

Lattice parameters (Å, degrees): 7.0697 7.0697 3.9971 90.00 90.00 90.00
Last column: nearest neighbours and their distance in Å.
Element x y z (fractional)
Er 0.6818 0.8182 0.0000  16 B 2.71-2.84
Er 0.3182 0.1818 0.0000  16 B 2.71-2.84
Er 0.8182 0.3182 0.0000  16 B 2.71-2.84
Er 0.1818 0.6818 0.0000  16 B 2.71-2.84
B 0.0000 0.0000 0.7974  5 B 1.62-1.75
B 0.0869 0.4131 0.5000  3 B 1.71-1.74
B 0.5869 0.0869 0.5000  3 B 1.71-1.74
B 0.0000 0.0000 0.2026  5 B 1.62-1.75
B 0.3235 0.4613 0.5000  5 B 1.71-1.81
B 0.1765 0.9613 0.5000  5 B 1.71-1.81
B 0.5000 0.5000 0.2026  5 B 1.62-1.75
B 0.6765 0.5387 0.5000  5 B 1.71-1.81
B 0.9613 0.8235 0.5000  5 B 1.71-1.81
B 0.9131 0.5869 0.5000  3 B 1.71-1.74
B 0.8235 0.0387 0.5000  5 B 1.71-1.81
B 0.4131 0.9131 0.5000  3 B 1.71-1.74
B 0.0387 0.1765 0.5000  5 B 1.71-1.81
B 0.5000 0.5000 0.7974  5 B 1.62-1.75
B 0.5387 0.3235 0.5000  5 B 1.71-1.81
B 0.4613 0.6765 0.5000  5 B 1.71-1.81

---

(2)
Density functional theory data (PBE) for a relaxed structure of KIBr2O.

Results
The value obtained for the energy above the most stable polymorph in this dataset is 0.136 eV per atom. The magnetization comes out at 8.00 μB per cell. The calculation puts the energy of formation at -0.4394 eV/atom. For the MP2020-corrected energy, the calculation gives -52.212 eV per cell.

Lattice parameters (Å, degrees): 11.8617 12.0196 5.3511 90.00 90.00 90.00
Last column: nearest neighbours and their distance in Å.
Element x y z (fractional)
Br 0.2773 0.0604 0.5000  1 O 2.59, 1 I 2.74
Br 0.5204 0.2680 0.5000  1 O 2.56, 1 I 2.80
Br 0.4796 0.7320 0.5000  1 O 2.56, 1 I 2.80
Br 0.7227 0.9396 0.5000  1 O 2.59, 1 I 2.74
Br 0.9796 0.7680 0.0000  1 O 2.56, 1 I 2.80
Br 0.2227 0.5604 0.0000  1 O 2.59, 1 I 2.74
Br 0.0204 0.2320 0.0000  1 O 2.56, 1 I 2.80
Br 0.7773 0.4396 0.0000  1 O 2.59, 1 I 2.74
I 0.5000 0.5000 0.5000  2 Br 2.80
I 0.0000 0.0000 0.0000  2 Br 2.80
I 0.0000 0.5000 0.0000  2 Br 2.74
I 0.5000 0.0000 0.5000  2 Br 2.74
O 0.6952 0.7262 0.5000  2 Br 2.56-2.59, 2 K 2.69
O 0.8048 0.2262 0.0000  2 Br 2.56-2.59, 2 K 2.69
O 0.3048 0.2738 0.5000  2 Br 2.56-2.59, 2 K 2.69
O 0.1952 0.7738 0.0000  2 Br 2.56-2.59, 2 K 2.69
K 0.1777 0.7832 0.5000  2 O 2.69
K 0.3223 0.2832 0.0000  2 O 2.69
K 0.8223 0.2168 0.5000  2 O 2.69
K 0.6777 0.7168 0.0000  2 O 2.69

---

(3)
Density functional theory data (PBE) for a relaxed structure of TmMnGe.

Results
The magnetization comes out at 10.30 μB per cell. The calculation puts the energy of formation at -0.5032 eV/atom.

Lattice parameters (Å, degrees): 4.0510 6.9589 7.8810 90.00 90.00 90.00
Last column: nearest neighbours and their distance in Å.
Element x y z (fractional)
Ge 0.7500 0.7270 0.3787  4 Mn 2.54-2.74
Ge 0.7500 0.2270 0.1213  4 Mn 2.54-2.74
Ge 0.2500 0.2730 0.6213  4 Mn 2.54-2.74
Ge 0.2500 0.7730 0.8787  4 Mn 2.54-2.74
Mn 0.2500 0.6326 0.5543  4 Ge 2.54-2.74
Mn 0.7500 0.8674 0.0543  4 Ge 2.54-2.74
Mn 0.7500 0.3674 0.4457  4 Ge 2.54-2.74
Mn 0.2500 0.1326 0.9457  4 Ge 2.54-2.74
Tm 0.7500 0.4739 0.8192  5 Ge 2.91-2.94, 3 Mn 3.04-3.11
Tm 0.7500 0.9739 0.6808  5 Ge 2.91-2.94, 3 Mn 3.04-3.11
Tm 0.2500 0.5261 0.1808  5 Ge 2.91-2.94, 3 Mn 3.04-3.11
Tm 0.2500 0.0261 0.3192  5 Ge 2.91-2.94, 3 Mn 3.04-3.11

---

(4)
Density functional theory data (PBE) for a relaxed structure of Er12Re5C15.

Results
The magnetization comes out at 0.00 μB per cell. The calculation puts the energy of formation at -0.3768 eV/atom.

Lattice parameters (Å, degrees): 10.6716 10.6716 5.0340 90.00 90.00 120.00
Last column: nearest neighbours and their distance in Å.
Element x y z (fractional)
Er 0.5739 0.0000 0.5000  8 C 2.54-2.78
Er 0.0000 0.5739 0.5000  8 C 2.54-2.78
Er 0.0000 0.2052 0.5000  4 C 2.49-2.52
Er 0.4261 0.4261 0.5000  8 C 2.54-2.78
Er 0.7948 0.7948 0.5000  4 C 2.49-2.52
Er 0.1852 0.4553 0.0000  5 C 2.32-2.54
Er 0.2701 0.8148 0.0000  5 C 2.32-2.54
Er 0.4553 0.1852 0.0000  5 C 2.32-2.54
Er 0.8148 0.2701 0.0000  5 C 2.32-2.54
Er 0.7299 0.5447 0.0000  5 C 2.32-2.54
Er 0.2052 0.0000 0.5000  4 C 2.49-2.52
Er 0.5447 0.7299 0.0000  5 C 2.32-2.54
C 0.3339 0.3339 0.0000  1 C 1.36
C 0.0000 0.5387 0.0000  1 C 1.36
C 0.0000 0.2166 0.0000  2 Re 2.06
C 0.1899 0.4663 0.5000  1 Re 1.91
C 0.0000 0.6661 0.0000  1 C 1.36
C 0.7236 0.5337 0.5000  1 Re 1.91
C 0.5387 0.0000 0.0000  1 C 1.36
C 0.7834 0.7834 0.0000  2 Re 2.06
C 0.6661 0.0000 0.0000  1 C 1.36
C 0.2764 0.8101 0.5000  1 Re 1.91
C 0.5337 0.7236 0.5000  1 Re 1.91
C 0.2166 0.0000 0.0000  2 Re 2.06
C 0.4663 0.1899 0.5000  1 Re 1.91
C 0.4613 0.4613 0.0000  1 C 1.36
C 0.8101 0.2764 0.5000  1 Re 1.91
Re 0.8480 0.0000 0.0000  3 C 1.94-2.06
Re 0.6667 0.3333 0.5000  3 C 1.91
Re 0.1520 0.1520 0.0000  3 C 1.94-2.06
Re 0.0000 0.8480 0.0000  3 C 1.94-2.06
Re 0.3333 0.6667 0.5000  3 C 1.91